ErHfIr2 after structural relaxation. Source: Materials Project, functional PBE-GGA.

Lattice parameters (Å, degrees): 6.6737 6.6737 6.6737 90.00 90.00 90.00
Last column: nearest neighbours and their distance in Å.
Space group Fm-3m (No. 225)
Unique sites:
Er (0.0000, 0.0000, 0.0000)  8 Ir 2.89
Hf (0.0000, 0.0000, 0.5000)  8 Ir 2.89
Ir (0.2500, 0.2500, 0.2500)  4 Hf 2.89, 4 Er 2.89

Properties
E_form   -0.8836 eV per atom
Spin magnetization   0.00 μB/f.u.